PBE Mg2Zr14O5, optimized geometry; symmetry = R3m; ΔE_f = -1.22 eV per atom
1.0
2.806 0.000 1.620
0.935 2.646 1.620
-1.379 -0.975 54.233
Zr O Mg
14 5 2
Direct
0.932 0.932 0.950
0.995 0.995 0.876
0.002 0.002 0.437
0.090 0.090 0.608
0.979 0.979 0.379
0.060 0.060 0.801
0.946 0.946 0.135
0.024 0.024 0.495
0.951 0.951 0.322
0.893 0.893 0.208
0.888 0.888 0.021
0.927 0.927 0.264
0.126 0.126 0.726
0.053 0.053 0.553
0.754 0.754 0.921
0.885 0.885 0.772
0.705 0.705 0.180
0.818 0.818 0.847
0.690 0.690 0.996
0.924 0.924 0.077
0.108 0.108 0.667